Record 1
14
Lattice="3.0758 1.7758 5.1300 -3.0758 1.7758 5.1300 0.0000 -3.5517 5.1300" Properties=species:S:1:pos:R:3 comment="Li2MnNb3O8 | Materials Project | PBE with a Hubbard U | relaxed" sg="No. 160" pbc="T T T"
Li 0.0000 0.0000 0.0000
Li 0.0000 0.0000 5.9302
Mn 0.0000 0.0000 9.6841
Nb 0.0000 -1.6613 2.6288
Nb -1.4387 0.8306 2.6288
Nb 1.4387 0.8306 2.6288
O -1.6583 -0.9574 8.8679
O 0.0000 -1.8835 6.5679
O -1.6311 0.9417 6.5679
O 0.0000 0.0000 3.9571
O 1.6583 -0.9574 8.8679
O 0.0000 1.9148 8.8679
O 0.0000 0.0000 11.7778
O 1.6311 0.9417 6.5679

***

Record 2
8
Lattice="-1.9601 1.9601 9.4409 1.9601 -1.9601 9.4409 1.9601 1.9601 -9.4409" Properties=species:S:1:pos:R:3 comment="Sr2MgCrO4 | Materials Project | PBE with a Hubbard U | relaxed" sg="No. 139" pbc="T T T"
Sr 0.0000 0.0000 3.5151
Sr 0.0000 0.0000 15.3668
Mg 0.0000 0.0000 0.0000
Cr 0.0000 0.0000 9.4409
O 1.9601 0.0000 0.0000
O 0.0000 0.0000 5.8389
O 0.0000 1.9601 0.0000
O 0.0000 0.0000 13.0429

***

Record 3
48
Lattice="13.9646 0.0000 0.0000 0.0000 5.3250 0.0000 0.0000 0.0000 8.8120" Properties=species:S:1:pos:R:3 comment="Na2CoP2O7 | Materials Project | PBE with a Hubbard U | relaxed" sg="No. 62" pbc="T T T"
Na 1.4321 1.3312 1.1770
Na 2.8345 3.9937 3.2170
Na 4.1479 1.3312 7.6230
Na 5.5502 3.9937 5.5830
Na 8.4145 1.3312 3.2290
Na 9.8168 3.9937 1.1890
Na 11.1302 1.3312 5.5950
Na 12.5325 3.9937 7.6350
Co 2.3767 3.9937 6.7754
Co 4.6056 1.3312 2.3694
Co 9.3590 3.9937 6.4426
Co 11.5879 1.3312 2.0366
P 0.5566 1.3312 6.8270
P 2.6699 1.3312 4.8876
P 4.3125 3.9937 0.4816
P 6.4257 3.9937 2.4210
P 7.5389 1.3312 6.3910
P 9.6522 1.3312 8.3304
P 11.2948 3.9937 3.9244
P 13.4081 3.9937 1.9850
O 0.9419 3.9937 2.0716
O 1.0923 1.3312 5.2550
O 1.1514 0.0760 7.5010
O 1.1514 2.5865 7.5010
O 2.7407 1.3312 3.3554
O 3.2762 0.0476 5.4804
O 3.2762 2.6149 5.4804
O 3.7061 2.7101 1.0744
O 3.7061 5.2774 1.0744
O 4.2416 3.9937 7.7614
O 5.8310 2.7385 3.0950
O 5.8310 5.2490 3.0950
O 5.8900 3.9937 0.8490
O 6.0404 1.3312 6.4776
O 7.9243 3.9937 2.3344
O 8.0747 1.3312 7.9630
O 8.1337 0.0760 5.7170
O 8.1337 2.5865 5.7170
O 9.7231 1.3312 1.0506
O 10.2586 0.0476 7.7375
O 10.2586 2.6149 7.7375
O 10.6884 2.7101 3.3316
O 10.6884 5.2774 3.3316
O 11.2239 3.9937 5.4566
O 12.8133 2.7385 1.3110
O 12.8133 5.2490 1.3110
O 12.8723 3.9937 3.5570
O 13.0227 1.3312 6.7404

***

Record 4
40
Lattice="7.7059 0.0000 0.0000 0.0000 8.5902 0.0000 -4.3055 0.0000 9.7200" Properties=species:S:1:pos:R:3 comment="NaUVO7 | Materials Project | PBE with a Hubbard U | relaxed" sg="No. 7" pbc="T T T"
Na 0.0000 2.0572 0.0000
Na -2.1527 6.5330 4.8600
Na 4.7241 2.2189 6.2715
Na 6.8768 6.3714 1.4115
U 0.8962 1.9757 6.5223
U 3.0489 6.6145 1.6623
U 2.5929 2.3191 3.0289
U 0.4402 6.2712 7.8889
V -0.8343 3.4221 9.0346
V 1.3185 5.1681 4.1747
V 4.3597 0.8072 0.5323
V 2.2069 7.7830 5.3923
O -2.7475 0.8784 8.2761
O -0.5948 7.7118 3.4161
O -2.4391 3.2425 8.5898
O -0.2864 5.3477 3.7299
O -0.7497 1.8244 5.7569
O 1.4031 6.7659 0.8970
O 1.0237 2.1623 2.1070
O -1.1290 6.4279 6.9670
O 0.1834 3.9396 7.5874
O 2.3361 4.6506 2.7275
O 1.4878 3.4844 4.8251
O -0.6649 5.1058 9.6851
O -0.1584 1.6290 8.5593
O 1.9943 6.9612 3.6993
O 1.8686 0.8550 4.7043
O -0.2842 7.7352 9.5643
O 3.7668 2.6500 1.0150
O 1.6141 5.9402 5.8750
O 3.3495 0.3452 2.0090
O 1.1968 8.2450 6.8690
O 2.5578 2.1369 7.3346
O 4.7106 6.4533 2.4747
O 4.1520 2.5210 3.9762
O 1.9993 6.0693 8.8362
O 5.9614 0.7573 0.8839
O 3.8087 7.8330 5.7439
O 6.3508 3.9211 0.9525
O 4.1981 4.6691 5.8125

***

Record 5
16
Lattice="4.4741 0.0000 0.0000 0.0000 4.4741 0.0000 0.0000 0.0000 9.0498" Properties=species:S:1:pos:R:3 comment="Mg6FeBiO8 | Materials Project | PBE with a Hubbard U | relaxed" sg="No. 123" pbc="T T T"
Mg 0.0000 0.0000 0.0000
Mg 0.0000 0.0000 4.5249
Mg 0.0000 2.2370 2.0446
Mg 0.0000 2.2370 7.0052
Mg 2.2370 0.0000 2.0446
Mg 2.2370 0.0000 7.0052
Fe 2.2370 2.2370 0.0000
Bi 2.2370 2.2370 4.5249
O 0.0000 0.0000 2.2544
O 0.0000 0.0000 6.7953
O 0.0000 2.2370 0.0000
O 0.0000 2.2370 4.5249
O 2.2370 0.0000 0.0000
O 2.2370 0.0000 4.5249
O 2.2370 2.2370 2.2047
O 2.2370 2.2370 6.8451

***

Record 6
28
Lattice="5.0122 -2.9276 0.0000 5.0122 2.9276 0.0000 -0.0609 0.0000 9.5153" Properties=species:S:1:pos:R:3 comment="Li4Ti5Co3O16 | Materials Project | PBE with a Hubbard U | relaxed" sg="No. 8" pbc="T T T"
Li 0.0000 0.0000 0.0000
Li 0.0410 0.0000 4.7242
Li 3.2770 0.0000 3.7756
Li 6.5691 0.0000 8.6253
Ti 3.9875 1.4347 6.9051
Ti 3.2992 0.0000 0.0768
Ti 3.9875 -1.4347 6.9051
Ti 6.4844 0.0000 4.7457
Ti 8.2104 0.0000 2.1991
Co 1.6450 0.0000 6.7918
Co 5.8216 1.4208 2.0602
Co 5.8216 -1.4208 2.0602
O 10.0009 0.0000 2.9313
O 2.5869 1.3575 8.1238
O 1.6387 0.0000 1.0032
O 4.1662 1.4394 0.9704
O 3.3203 0.0000 5.7671
O 5.7330 1.4043 5.6680
O 4.7579 0.0000 7.9895
O 2.5869 -1.3575 8.1238
O 7.3647 1.3109 3.2517
O 5.1649 0.0000 3.1846
O 4.1662 -1.4394 0.9704
O 6.6303 0.0000 1.0601
O 5.7330 -1.4043 5.6680
O 8.2722 0.0000 5.7130
O 7.3647 -1.3109 3.2517
O 9.9632 0.0000 7.7021

***

Record 7
7
Lattice="6.6936 -1.9663 0.0000 6.6936 1.9663 0.0000 -6.6910 0.0000 6.6945" Properties=species:S:1:pos:R:3 comment="MgWBr4O | Materials Project | PBE with a Hubbard U | relaxed" sg="No. 5" pbc="T T T"
Mg 0.0000 0.0000 0.0000
W 3.3481 -0.9961 3.3472
Br -1.0011 0.7957 4.6281
Br 7.6973 0.7957 2.0664
Br 4.6278 -0.7996 1.0026
Br 2.0684 -0.7996 5.6919
O 3.3481 0.9714 3.3472

***

Record 8
6
Lattice="3.9477 0.0000 0.0000 0.0000 3.9477 0.0000 0.0000 0.0000 6.5212" Properties=species:S:1:pos:R:3 comment="BaMgCoO3 | Materials Project | PBE with a Hubbard U | relaxed" sg="No. 123" pbc="T T T"
Ba 0.0000 0.0000 0.0000
Mg 0.0000 0.0000 3.2606
Co 1.9738 1.9738 3.2606
O 0.0000 1.9738 3.2606
O 1.9738 0.0000 3.2606
O 1.9738 1.9738 0.0000

***

Values of energy of formation from the pure elements, in order: -2.629 -2.421 -2.435 -2.440 -2.302 -2.681 -1.026 -1.881, all in eV per atom.
Values of final energy, in order: -8.04 -6.13 -6.50 -7.42 -5.66 -7.38 -4.02 -5.51, all in eV/atom.